DFT (GGA-PBE) results for a relaxed structure of Ba2MgNb6N2O14.

CIF file:
```
data_Ba2MgNb6N2O14
_chemical_formula_sum 'Ba2 Mg1 Nb6 N2 O14'
_space_group_name_H-M_alt 'P 1'
_space_group_IT_number 1
_cell_length_a 4.0670
_cell_length_b 8.9405
_cell_length_c 10.6136
_cell_angle_alpha 91.27
_cell_angle_beta 101.04
_cell_angle_gamma 90.01
loop_
_space_group_symop_operation_xyz
'x,y,z'
loop_
_atom_site_label
_atom_site_type_symbol
_atom_site_fract_x
_atom_site_fract_y
_atom_site_fract_z
Ba1 Ba 0.0000 0.0000 0.0000
Ba2 Ba 0.1530 0.4881 0.3050
Mg1 Mg 0.6327 0.0056 0.2664
Nb1 Nb 0.3670 0.9910 0.7339
Nb2 Nb 0.5026 0.3184 0.0057
Nb3 Nb 0.5045 0.6763 0.0085
Nb4 Nb 0.7737 0.7897 0.5474
Nb5 Nb 0.7778 0.1971 0.5547
Nb6 Nb 0.9071 0.5106 0.8141
N1 N 0.4366 0.4952 0.8733
N2 N 0.8466 0.6573 0.6930
O1 O 0.0014 0.3226 0.0030
O2 O 0.2865 0.8353 0.5731
O3 O 0.2919 0.1570 0.5835
O4 O 0.4341 0.8436 0.8677
O5 O 0.4350 0.1503 0.8702
O6 O 0.5666 0.5035 0.1328
O7 O 0.5711 0.1660 0.1443
O8 O 0.5707 0.8424 0.1399
O9 O 0.7041 0.6628 0.4083
O10 O 0.7092 0.3178 0.4170
O11 O 0.7241 0.9975 0.4484
O12 O 0.8498 0.3352 0.6992
O13 O 0.8567 0.9960 0.7133
O14 O 0.9990 0.6708 0.9973
```

Values from the calculation:
Energy relative to the elements   -262.43 kJ/mol of atoms
Polymorph energy (0 for the lowest one)   43 meV/atom
Energy with MP2020 corrections   -8.80 eV/atom
Final energy   -210.4 eV/cell